1.
# Nd4Ga17Ni2 PBE relaxed
# Theoretical density ... 7.0 g/cm3
# E_tot ... -182.6 eV per cell
# Formation energy from the elements ... -0.40 eV/atom
data_Nd4Ga17Ni2
_chemical_formula_sum 'Nd8 Ga34 Ni4'
_space_group_name_H-M_alt 'I m m 2'
_space_group_IT_number 44
_cell_length_a 4.294
_cell_length_b 4.355
_cell_length_c 47.769
_cell_angle_alpha 90.00
_cell_angle_beta 90.00
_cell_angle_gamma 90.00
loop_
_space_group_symop_operation_xyz
'x,y,z'
'-x,-y,z'
'-x,y,z'
'x,-y,z'
'x+1/2,y+1/2,z+1/2'
'-x+1/2,-y+1/2,z+1/2'
'-x+1/2,y+1/2,z+1/2'
'x+1/2,-y+1/2,z+1/2'
loop_
_atom_site_label
_atom_site_type_symbol
_atom_site_fract_x
_atom_site_fract_y
_atom_site_fract_z
Nd1 Nd 0.000 0.000 0.000
Nd2 Nd 0.000 0.000 0.156
Nd3 Nd 0.000 0.000 0.384
Nd4 Nd 0.000 0.000 0.772
Ga1 Ga 0.000 0.000 0.247
Ga2 Ga 0.000 0.000 0.298
Ga3 Ga 0.000 0.000 0.470
Ga4 Ga 0.000 0.000 0.523
Ga5 Ga 0.000 0.000 0.636
Ga6 Ga 0.000 0.000 0.687
Ga7 Ga 0.000 0.000 0.857
Ga8 Ga 0.000 0.000 0.908
Ga9 Ga 0.000 0.500 0.100
Ga10 Ga 0.000 0.500 0.217
Ga11 Ga 0.000 0.500 0.328
Ga12 Ga 0.000 0.500 0.439
Ga13 Ga 0.000 0.500 0.552
Ga14 Ga 0.000 0.500 0.605
Ga15 Ga 0.000 0.500 0.717
Ga16 Ga 0.000 0.500 0.828
Ga17 Ga 0.000 0.500 0.939
Ni1 Ni 0.000 0.000 0.079
Ni2 Ni 0.000 0.500 0.047

***

2.
# Nd3Ga2Ni6 PBE relaxed
# Theoretical density ... 8.3 g/cm3
# E_tot ... -240.2 eV per cell
# Formation energy from the elements ... -0.45 eV/atom
data_Nd3Ga2Ni6
_chemical_formula_sum 'Nd12 Ga8 Ni24'
_space_group_name_H-M_alt 'I m -3 m'
_space_group_IT_number 229
_space_group_name_Hall '-I 4 2 3'
_cell_length_a 9.061
_cell_length_b 9.061
_cell_length_c 9.061
_cell_angle_alpha 90.00
_cell_angle_beta 90.00
_cell_angle_gamma 90.00
loop_
_atom_site_label
_atom_site_type_symbol
_atom_site_fract_x
_atom_site_fract_y
_atom_site_fract_z
Nd1 Nd 0.000 0.000 0.289
Ga1 Ga 0.250 0.250 0.250
Ni1 Ni 0.000 0.337 0.337

***

3.
# Nd2Ga12Ni PBE relaxed
# Theoretical density ... 6.9 g/cm3
# E_tot ... -115.2 eV per cell
# Formation energy from the elements ... -0.40 eV/atom
data_Nd2Ga12Ni
_chemical_formula_sum 'Nd4 Ga24 Ni2'
_space_group_name_H-M_alt 'P 4/n b m'
_space_group_IT_number 125
_cell_length_a 6.038
_cell_length_b 6.038
_cell_length_c 15.640
_cell_angle_alpha 90.00
_cell_angle_beta 90.00
_cell_angle_gamma 90.00
loop_
_space_group_symop_operation_xyz
'x,y,z'
'-x,-y,-z'
'-y+1/2,x,z'
'y+1/2,-x,-z'
'-x+1/2,-y+1/2,z'
'x+1/2,y+1/2,-z'
'y,-x+1/2,z'
'-y,x+1/2,-z'
'x,-y+1/2,-z'
'-x,y+1/2,z'
'-y+1/2,-x+1/2,-z'
'y+1/2,x+1/2,z'
'-x+1/2,y,-z'
'x+1/2,-y,z'
'y,x,-z'
'-y,-x,z'
loop_
_atom_site_label
_atom_site_type_symbol
_atom_site_fract_x
_atom_site_fract_y
_atom_site_fract_z
Nd1 Nd 0.250 0.750 0.246
Ga1 Ga 0.000 0.000 0.084
Ga2 Ga 0.080 0.580 0.429
Ga3 Ga 0.250 0.250 0.184
Ga4 Ga 0.250 0.250 0.341
Ni1 Ni 0.250 0.750 0.000

***

4.
# Nd3GaNiS7 PBE relaxed
# Theoretical density ... 5.0 g/cm3
# E_tot ... -139.4 eV per cell
# Formation energy from the elements ... -1.76 eV/atom
data_Nd3GaNiS7
_chemical_formula_sum 'Nd6 Ga2 Ni2 S14'
_space_group_name_H-M_alt 'P 63'
_space_group_IT_number 173
_cell_length_a 9.8694
_cell_length_b 9.8694
_cell_length_c 6.2016
_cell_angle_alpha 90.00
_cell_angle_beta 90.00
_cell_angle_gamma 120.00
loop_
_space_group_symop_operation_xyz
'x,y,z'
'x-y,x,z+1/2'
'-y,x-y,z'
'-x,-y,z+1/2'
'-x+y,-x,z'
'y,-x+y,z+1/2'
loop_
_atom_site_label
_atom_site_type_symbol
_atom_site_fract_x
_atom_site_fract_y
_atom_site_fract_z
Nd1 Nd 0.1527 0.3740 0.0000
Ga1 Ga 0.3333 0.6667 0.4253
Ni1 Ni 0.0000 0.0000 0.3125
S1 S 0.0897 0.5693 0.2756
S2 S 0.0939 0.2259 0.5753
S3 S 0.3333 0.6667 0.7899

***

5.
# Nd3Ga5O12 PBE relaxed
# Theoretical density ... 6.4 g/cm3
# E_tot ... -1109.5 eV per cell
# Formation energy from the elements ... -2.91 eV/atom
data_Nd3Ga5O12
_chemical_formula_sum 'Nd24 Ga40 O96'
_space_group_name_H-M_alt 'I a -3 d'
_space_group_IT_number 230
_space_group_name_Hall '-I 4bd 2c 3'
_cell_length_a 12.657
_cell_length_b 12.657
_cell_length_c 12.657
_cell_angle_alpha 90.00
_cell_angle_beta 90.00
_cell_angle_gamma 90.00
loop_
_atom_site_label
_atom_site_type_symbol
_atom_site_fract_x
_atom_site_fract_y
_atom_site_fract_z
Nd1 Nd 0.000 0.250 0.125
Ga1 Ga 0.000 0.000 0.000
Ga2 Ga 0.000 0.250 0.375
O1 O 0.029 0.052 0.649

***

6.
# NdGaO3 PBE relaxed
# Theoretical density ... 7.3 g/cm3
# E_tot ... -143.4 eV per cell
# Formation energy from the elements ... -3.05 eV/atom
data_NdGaO3
_chemical_formula_sum 'Nd4 Ga4 O12'
_space_group_name_H-M_alt 'P n m a'
_space_group_IT_number 62
_cell_length_a 5.616
_cell_length_b 7.802
_cell_length_c 5.471
_cell_angle_alpha 90.00
_cell_angle_beta 90.00
_cell_angle_gamma 90.00
loop_
_space_group_symop_operation_xyz
'x,y,z'
'-x,-y,-z'
'-x+1/2,-y,z+1/2'
'x+1/2,y,-z+1/2'
'x+1/2,-y+1/2,-z+1/2'
'-x+1/2,y+1/2,z+1/2'
'-x,y+1/2,-z'
'x,-y+1/2,z'
loop_
_atom_site_label
_atom_site_type_symbol
_atom_site_fract_x
_atom_site_fract_y
_atom_site_fract_z
Nd1 Nd 0.052 0.250 0.013
Ga1 Ga 0.000 0.000 0.500
O1 O 0.023 0.750 0.413
O2 O 0.207 0.547 0.792

***

> Which value of formation energy from the elements does entry 2 give?

-0.45 eV/atom